Entry 1:
This record from Materials Project describes a geometry-optimized Hg5Cl2O4 structure. The functional is r2SCAN.

Properties
Energy = -26.2012 eV per atom
DFT formation energy = -45 kJ/mol of atoms

Cell and atoms, written as extended XYZ:
```
22
Lattice="7.1643 -2.2634 -4.7174 4.1398 0.9990 7.7823 -5.6955 -5.5551 -3.9246" Properties=species:S:1:pos:R:3 pbc="T T T"
Hg 5.7325 -4.7426 -0.4596
Hg 0.4960 -6.3218 -4.4372
Hg 5.1124 -0.4976 3.5775
Hg -0.1239 -2.0769 -0.4002
Hg 3.3263 -2.9789 -2.1768
Hg 3.7946 -5.4719 -4.9327
Hg 2.2826 -3.8408 1.3173
Hg 1.8143 -1.3475 4.0730
Hg -2.8692 -5.8712 -3.1584
Hg 8.4788 -0.9484 2.2990
Cl 0.2217 -4.1115 -2.5145
Cl -0.9759 -4.1557 1.8837
Cl 6.5839 -2.6638 -2.7436
Cl 5.3865 -2.7079 1.6546
O 3.1330 -0.1652 3.0236
O 1.9024 -2.2734 0.0382
O -1.5150 -6.2080 -4.9654
O 0.5327 -2.7290 4.9016
O 5.0759 -4.0902 -5.7615
O 7.1235 -0.6118 4.1059
O 2.4757 -6.6540 -3.8835
O 3.7060 -4.5464 -0.8978
```

=====

Entry 2:
This record from Materials Project describes a geometry-optimized In3SnI5 structure. The functional is r2SCAN.

Properties
Energy = -24.4491 eV per atom
DFT formation energy = -51 kJ/mol of atoms

Cell and atoms, written as extended XYZ:
```
36
Lattice="9.0256 0.0000 0.0000 0.0000 8.9936 0.0329 0.0000 7.5304 17.5152" Properties=species:S:1:pos:R:3 pbc="T T T"
In 1.9737 8.5581 0.4596
In 7.0519 7.9658 17.0885
In 2.7903 2.8904 4.4588
In 7.3031 9.8684 4.3317
In 6.4865 4.2007 8.3309
In 4.2058 9.1876 13.1408
In 6.2354 13.6335 13.0894
In 0.3070 5.4224 4.3832
In 1.7226 6.6556 13.2164
In 4.8199 7.3364 4.4073
In 8.7186 11.1016 13.1649
In 2.5391 12.3233 9.2172
Sn 6.1038 4.1725 1.5344
Sn 2.9218 12.3515 16.0137
Sn 7.4346 7.9377 10.2920
Sn 1.5910 8.5863 7.2561
I 6.0226 4.1040 4.5578
I 0.2675 13.9234 15.6988
I 6.0168 10.7443 10.7704
I 5.8597 10.8923 15.6470
I 7.6787 7.1271 6.8894
I 8.9129 5.0902 10.5487
I 3.0031 12.4200 12.9903
I 1.5040 9.5448 15.5353
I 3.1659 5.6317 1.9011
I 1.5097 8.6548 4.2327
I 4.6255 1.3250 1.7911
I 1.3469 9.3969 10.6587
I 4.4001 15.1990 15.7570
I 7.5159 7.8692 13.3154
I 4.2453 10.1582 6.9412
I 8.7581 2.6006 1.8493
I 3.0088 5.7796 6.7777
I 0.1127 11.4338 6.9994
I 4.7804 6.3658 10.6069
I 7.5217 6.9792 2.0128
```

=====

Entry 3:
This record from Materials Project describes a geometry-optimized Zn2GeO4 structure. The functional is r2SCAN.

Properties
Energy = -9.6910 eV per atom
DFT formation energy = -169 kJ/mol of atoms

Cell and atoms, written as extended XYZ:
```
42
Lattice="3.8265 4.5683 6.5179 -8.3853 -1.5126 2.3220 4.0897 -7.8049 -0.5916" Properties=species:S:1:pos:R:3 pbc="T T T"
Zn 3.7378 -5.7207 1.5184
Zn 1.4699 2.7506 6.2672
Zn -5.7958 -2.9827 2.5528
Zn -4.2070 0.9714 6.7298
Zn -1.9390 -7.4999 1.9810
Zn 5.3266 -1.7666 5.6954
Zn -0.5402 0.5341 4.8681
Zn -2.5249 -3.4353 2.4696
Zn 2.4782 -3.0406 2.9815
Zn 0.0711 -5.2834 3.3801
Zn 2.0558 -1.3140 5.7786
Zn -2.9473 -1.7087 5.2667
Ge -0.6414 -1.0277 7.6270
Ge -2.7284 -4.9835 5.2305
Ge 2.3146 -4.6722 5.6966
Ge 0.1723 -3.7216 0.6213
Ge 2.2593 0.2342 3.0177
Ge -2.7837 -0.0771 2.5516
O -4.2977 -4.0800 1.9764
O 4.0620 -4.0545 2.4666
O -0.3485 2.2201 5.8286
O 3.8286 -0.6693 6.2718
O -4.5312 -0.6948 5.7816
O -0.1206 -6.9694 2.4196
O -1.4146 0.8528 3.1639
O -1.4735 -3.1335 0.8653
O 2.5361 -1.2825 2.1591
O 0.9455 -5.6021 5.0843
O 1.0044 -1.6158 7.3830
O -3.0053 -3.4668 6.0891
O -1.3966 -0.7694 6.0565
O -1.7596 -4.6610 3.7951
O 2.3151 -3.0837 4.9350
O 0.9274 -3.9799 2.1917
O 1.2904 -0.0883 4.4531
O -2.7843 -1.6656 3.3132
O 1.4663 -7.9874 0.2149
O -6.9301 -0.1756 4.2353
O 4.8591 2.0410 6.1821
O -1.9354 3.2381 8.0333
O 6.4610 -4.5737 4.0129
O -5.3282 -6.7903 2.0661
```